# TmCdAu2

An optimized crystal structure of TmCdAu2 (r²SCAN, Materials Project).

Lattice parameters (Å, degrees): 4.8483 4.8483 4.8483 60.00 60.00 60.00
With the nearest neighbours (Å) after each atom.
Sites, in units of the cell vectors:
Au1 0.5000 0.5000 0.5000  4 Cd 2.97, 4 Tm 2.97
Au2 0.0000 0.0000 0.0000  4 Tm 2.97, 4 Cd 2.97
Tm1 0.7500 0.7500 0.7500  8 Au 2.97
Cd1 0.2500 0.2500 0.2500  8 Au 2.97

Output
DFT formation energy in eV per atom: -0.730
M_tot in Bohr magnetons per cell: 0.00
Space-group type: Fm-3m, No. 225